No. 1
This record from the Materials Project describes a relaxed Rb2LiYbCl6 crystal. The functional is r²SCAN.

extended XYZ file:
```
10
Lattice="1.345 2.563 6.634 -5.211 3.413 3.686 -3.007 -3.156 5.778" Properties=species:S:1:pos:R:3 pbc="T T T"
Rb -1.718 0.705 4.025
Rb -5.155 2.115 12.074
Li -3.436 1.410 8.049
Yb 0.000 0.000 0.000
Cl -1.055 1.984 7.344
Cl -5.818 0.836 8.754
Cl -4.320 2.408 5.876
Cl -2.553 0.412 10.222
Cl -3.223 -0.864 6.918
Cl -3.650 3.684 9.180
```

Values from the calculation:
Crystal system: cubic
Space-group type: Fm-3m
Calculated total energy, eV per atom: -12.721

No. 2
This record from the Materials Project describes a relaxed Li2UCl6 crystal. The functional is r²SCAN.

extended XYZ file:
```
9
Lattice="-5.487 2.683 1.848 0.908 -6.268 0.780 2.320 1.011 5.420" Properties=species:S:1:pos:R:3 pbc="T T T"
Li -3.355 -0.300 1.492
Li -1.223 -3.284 1.136
U 1.160 0.505 2.710
Cl 1.165 -3.923 1.829
Cl 2.063 -1.334 4.371
Cl -3.087 2.029 2.539
Cl -1.286 -1.617 5.857
Cl -0.973 -0.957 2.191
Cl -0.080 1.665 4.728
```

Values from the calculation:
Crystal system: trigonal
Space-group type: P-31m
Calculated total energy, eV per atom: -15.555

Number 1: magnetic moment 0.0 μB/f.u.. Number 2: magnetic moment 2.0 μB/f.u..